(1)
Below is a geometry-optimized Sr3SbN structure, with properties calculated at the PBE level.

## Properties
total energy after the MP2020 corrections	-4.50	eV/atom
mass density	4.66	g/cm³
formation energy	-992	meV per atom
uncorrected energy	-4.426	eV per atom

Cell: 5.2160 5.2160 5.2160 Å, 90.00 90.00 90.00°
Atoms (fractional coordinates):
Sr 0.0000 0.5000 0.5000
Sr 0.5000 0.5000 0.0000
Sr 0.5000 0.0000 0.5000
Sb 0.0000 0.0000 0.0000
N 0.5000 0.5000 0.5000

=====

(2)
Below is a geometry-optimized Ir4C5 structure, with properties calculated at the PBE level.

## Properties
mass density	14.37	g/cm³
size of the total moment	0.00	μB/f.u.
formation energy	1033	meV per atom
uncorrected energy	-8.023	eV per atom

Cell: 5.0424 5.0424 15.0716 Å, 90.00 90.00 90.00°
Atoms (fractional coordinates):
Ir 0.0000 0.0000 0.5000
Ir 0.0000 0.0000 0.0000
Ir 0.0000 0.0000 0.2500
Ir 0.0000 0.0000 0.7500
Ir 0.5000 0.5000 0.3647
Ir 0.5000 0.5000 0.8647
Ir 0.5000 0.5000 0.6353
Ir 0.5000 0.5000 0.1353
Ir 0.5000 0.0000 0.4399
Ir 0.5000 0.0000 0.9399
Ir 0.0000 0.5000 0.5601
Ir 0.0000 0.5000 0.0601
Ir 0.5000 0.0000 0.1735
Ir 0.5000 0.0000 0.6735
Ir 0.0000 0.5000 0.8265
Ir 0.0000 0.5000 0.3265
C 0.3223 0.3223 0.2500
C 0.6777 0.6777 0.2500
C 0.3223 0.6777 0.7500
C 0.6777 0.3223 0.7500
C 0.1896 0.3336 0.4457
C 0.8104 0.6664 0.4457
C 0.1896 0.6664 0.9457
C 0.8104 0.3336 0.9457
C 0.3336 0.8104 0.5543
C 0.6664 0.1896 0.5543
C 0.6664 0.8104 0.0543
C 0.3336 0.1896 0.0543
C 0.2299 0.8397 0.3532
C 0.7701 0.1603 0.3532
C 0.2299 0.1603 0.8532
C 0.7701 0.8397 0.8532
C 0.8397 0.7701 0.6468
C 0.1603 0.2299 0.6468
C 0.1603 0.7701 0.1468
C 0.8397 0.2299 0.1468

=====

(3)
Below is a geometry-optimized LaSeF structure, with properties calculated at the PBE level.

## Properties
total energy after the MP2020 corrections	-6.59	eV/atom
mass density	6.13	g/cm³
formation energy	-3144	meV per atom
uncorrected energy	-6.439	eV per atom

Cell: 4.2358 4.2358 8.2649 Å, 90.00 90.00 120.00°
Atoms (fractional coordinates):
La 0.3333 0.6667 0.2500
La 0.6667 0.3333 0.7500
Se 0.0000 0.0000 0.5000
Se 0.0000 0.0000 0.0000
F 0.6667 0.3333 0.2500
F 0.3333 0.6667 0.7500

=====

(4)
Below is a geometry-optimized HfO2 structure, with properties calculated at the PBE level.

## Properties
total energy after the MP2020 corrections	-10.42	eV/atom
mass density	8.79	g/cm³
size of the total moment	0.00	μB/f.u.
formation energy	-3803	meV per atom
uncorrected energy	-9.963	eV per atom

Cell: 10.7612 11.3844 11.0543 Å, 88.61 86.84 88.66°
Atoms (fractional coordinates):
Hf 0.5376 0.5885 0.7806
Hf 0.4613 0.5106 0.3272
Hf 0.7855 0.4830 0.3616
Hf 0.1134 0.4813 0.2510
Hf 0.7185 0.0988 0.0059
Hf 0.5647 0.6993 0.5071
Hf 0.5254 0.0121 0.5551
Hf 0.4220 0.0286 0.9493
Hf 0.0292 0.5486 0.8884
Hf 0.0974 0.3208 0.6964
Hf 0.9796 0.0070 0.1713
Hf 0.0575 0.7874 0.3414
Hf 0.8307 0.7871 0.0522
Hf 0.4650 0.3522 0.6265
Hf 0.9673 0.2048 0.4295
Hf 0.2797 0.2434 0.4651
Hf 0.3040 0.9606 0.2602
Hf 0.7966 0.3943 0.6478
Hf 0.1234 0.7473 0.0650
Hf 0.2764 0.7630 0.5397
Hf 0.4918 0.7251 0.0601
Hf 0.6215 0.3180 0.8829
Hf 0.6543 0.2138 0.2785
Hf 0.3017 0.8182 0.8149
Hf 0.9982 0.8266 0.7856
Hf 0.6452 0.8597 0.8071
Hf 0.6296 0.9157 0.2405
Hf 0.3000 0.4506 0.9495
Hf 0.9533 0.6266 0.5657
Hf 0.8249 0.9016 0.4890
Hf 0.8882 0.3267 0.0854
Hf 0.2053 0.2149 0.1788
Hf 0.0845 0.0702 0.9051
Hf 0.8234 0.1007 0.7104
O 0.1632 0.5485 0.0371
O 0.4219 0.3608 0.4461
O 0.3214 0.7992 0.0080
O 0.6112 0.0726 0.3969
O 0.6904 0.9741 0.6328
O 0.6896 0.4727 0.8015
O 0.4171 0.5878 0.9334
O 0.7850 0.5469 0.5507
O 0.3124 0.3172 0.0651
O 0.9366 0.9415 0.3464
O 0.1525 0.3147 0.3475
O 0.4561 0.8614 0.2257
O 0.2897 0.4848 0.2794
O 0.6028 0.0861 0.1659
O 0.0583 0.1194 0.2918
O 0.1448 0.7264 0.8748
O 0.6020 0.7080 0.9044
O 0.5316 0.1641 0.9217
O 0.2546 0.9975 0.8687
O 0.1517 0.8981 0.1882
O 0.1762 0.4516 0.8195
O 0.9790 0.5152 0.3857
O 0.6368 0.2843 0.6715
O 0.9165 0.8284 0.6233
O 0.7694 0.2189 0.8497
O 0.8745 0.0784 0.5232
O 0.9556 0.6586 0.0169
O 0.6343 0.5985 0.3754
O 0.9585 0.8072 0.1768
O 0.1121 0.2259 0.8415
O 0.3411 0.0636 0.1097
O 0.6645 0.8439 0.4116
O 0.8220 0.8116 0.8719
O 0.0645 0.3385 0.1423
O 0.9734 0.0155 0.7685
O 0.8206 0.3333 0.4652
O 0.0216 0.8994 0.9764
O 0.3110 0.1249 0.3297
O 0.4864 0.5898 0.1667
O 0.1114 0.2022 0.5480
O 0.1817 0.8492 0.6819
O 0.1333 0.6646 0.2321
O 0.6306 0.7290 0.6737
O 0.9812 0.4593 0.6541
O 0.3996 0.6491 0.4433
O 0.4233 0.1557 0.5747
O 0.7271 0.0124 0.8494
O 0.8334 0.2042 0.2647
O 0.5265 0.5190 0.6082
O 0.5587 0.9157 0.9910
O 0.1228 0.6792 0.4961
O 0.4676 0.9287 0.7736
O 0.6911 0.2836 0.0619
O 0.8934 0.7356 0.4257
O 0.2749 0.3356 0.6313
O 0.2144 0.8730 0.4064
O 0.3810 0.7013 0.6978
O 0.7903 0.9571 0.1223
O 0.9205 0.4172 0.9339
O 0.9141 0.2525 0.6686
O 0.9709 0.6528 0.7495
O 0.8473 0.4604 0.1917
O 0.6201 0.3837 0.3076
O 0.4519 0.3951 0.8155
O 0.9018 0.1358 0.0319
O 0.4396 0.8672 0.5161
O 0.6679 0.7625 0.1460
O 0.1186 0.1045 0.0749

=====

(5)
Below is a geometry-optimized DyPd structure, with properties calculated at the PBE level.

## Properties
mass density	10.31	g/cm³
formation energy	-896	meV per atom
uncorrected energy	-5.789	eV per atom

Cell: 3.5123 3.5123 3.5123 Å, 90.00 90.00 90.00°
Atoms (fractional coordinates):
Dy 0.0000 0.0000 0.0000
Pd 0.5000 0.5000 0.5000

=====

(6)
Below is a geometry-optimized SnSe structure, with properties calculated at the PBE level.

## Properties
total energy after the MP2020 corrections	-4.42	eV/atom
mass density	5.88	g/cm³
formation energy	-666	meV per atom
uncorrected energy	-4.183	eV per atom

Cell: 4.2889 4.2889 4.2889 Å, 60.00 60.00 60.00°
Atoms (fractional coordinates):
Sn 0.0000 0.0000 0.0000
Se 0.5000 0.5000 0.5000